Entry 1:
Na14Ta4Zn4Si9S3O48: optimized geometry, GGA-PBE.

Cell and atoms, written as extended XYZ:
```
246
Lattice="9.1189 0.0000 0.0000 0.0171 15.8271 0.0000 0.0043 0.0010 22.2604" Properties=species:S:1:pos:R:3 pbc="T T T"
Na 0.0000 0.0000 0.0000
Na 9.1272 5.4832 22.0080
Na 0.0153 5.0307 7.1312
Na 0.1771 10.4125 14.2674
Na 0.2360 0.4460 14.4681
Na 1.2461 8.3408 3.4741
Na 1.2896 2.4360 3.4374
Na 1.4689 13.0035 18.2626
Na 1.4781 13.4551 10.7211
Na 1.4754 7.9175 11.0400
Na 1.7581 3.0256 10.8226
Na 1.8140 8.2490 18.4009
Na 1.9202 13.4688 3.6054
Na 2.9034 10.8544 5.4006
Na 2.9756 5.4629 20.0787
Na 2.9925 0.1817 1.6787
Na 3.0543 5.2307 8.9640
Na 3.0688 0.1833 12.7038
Na 3.2682 10.9299 16.3167
Na 4.0474 13.4333 14.4048
Na 4.2991 8.2406 6.9393
Na 4.3274 2.9281 21.8099
Na 4.5312 2.4510 14.5227
Na 4.5609 13.0533 7.1742
Na 4.7580 13.4590 22.0675
Na 4.7596 8.4473 14.2429
Na 5.7658 0.5598 3.2476
Na 5.8530 5.4959 10.7963
Na 5.9971 5.0967 18.2937
Na 6.0250 10.3697 3.4505
Na 6.2034 10.8749 10.5765
Na 6.2289 0.3310 18.1746
Na 6.5536 5.5010 3.3992
Na 7.4595 2.9834 5.2980
Na 7.5450 8.1167 1.6814
Na 7.5489 13.2309 20.2025
Na 7.5725 8.1050 12.7094
Na 7.6007 13.4626 8.9203
Na 7.6521 2.9344 16.4787
Na 8.6892 5.5587 14.6491
Na 8.8295 0.3993 7.2236
Na 8.8530 10.9349 22.0646
Ta 2.9196 0.2929 9.3495
Ta 2.9800 5.2981 16.7546
Ta 2.9781 5.4913 1.0111
Ta 3.0398 0.2024 20.4044
Ta 3.0852 10.7880 1.8877
Ta 3.1173 5.3765 5.6219
Ta 7.4443 13.3919 16.7039
Ta 7.5022 2.8822 13.0005
Ta 7.5440 8.1306 9.2668
Ta 7.6050 13.2175 5.6258
Ta 7.6203 8.1297 20.5383
Ta 7.6220 13.3856 12.1294
Zn 2.8975 11.0569 12.9810
Zn 3.0028 11.0700 8.5491
Zn 3.0379 10.9170 19.8558
Zn 3.0341 5.2454 12.2134
Zn 3.0363 0.2372 4.8215
Zn 3.1329 0.1557 15.8120
Zn 7.4516 8.0931 4.7067
Zn 7.4633 8.0725 15.8275
Zn 7.5576 13.1883 1.1563
Zn 7.6187 3.1651 19.6452
Zn 7.6748 2.9491 8.5806
Zn 7.6992 3.1342 1.9057
Si 0.3517 5.4376 3.3751
Si 0.3902 10.7031 10.7986
Si 1.0744 2.7938 21.9195
Si 1.1301 13.3365 14.5463
Si 1.5877 3.0854 14.3824
Si 1.6189 13.1280 21.8146
Si 1.6350 13.7664 6.9461
Si 1.6813 2.5451 6.8943
Si 1.7381 8.4749 21.7735
Si 4.2865 7.8076 3.3528
Si 4.3572 13.6225 18.0582
Si 4.4029 13.1693 10.7230
Si 4.4209 2.5035 18.0392
Si 4.4235 3.1451 3.2209
Si 4.9279 2.8321 10.6470
Si 4.9364 13.4580 3.2126
Si 5.6326 5.5196 14.3278
Si 5.7082 10.7923 21.8052
Si 6.1596 10.4312 6.9230
Si 6.1767 5.2142 21.8448
Si 6.2017 11.0359 14.3703
Si 6.2315 5.7508 6.9105
Si 6.2806 15.7392 14.4285
Si 8.8748 0.5392 10.6647
Si 8.9576 5.8852 18.0404
Si 8.9822 5.2354 10.7181
Si 8.9931 11.0052 3.2607
S 0.3017 0.1127 18.1627
S 1.1448 8.0590 7.0353
S 1.7740 7.7929 14.5010
S 4.4107 8.4430 10.6612
S 4.9078 8.1137 18.0609
S 5.6719 0.1584 6.9150
S 6.1703 0.5296 21.7612
S 8.7993 15.6704 3.3086
S 8.8022 10.4808 18.0778
O 0.0232 8.3766 21.7151
O 0.0764 13.5066 22.1054
O 0.0802 13.3158 15.8897
O 0.0792 2.7155 7.0123
O 0.1191 13.3241 13.2327
O 0.1209 3.1594 20.6878
O 0.1800 7.9948 8.2320
O 0.2706 2.3874 1.0225
O 0.3057 8.0251 14.5465
O 0.3908 8.1887 5.8007
O 1.0462 0.2213 16.9212
O 1.1534 15.8264 3.3097
O 1.1525 10.5995 18.0838
O 1.1798 10.3005 12.1762
O 1.2623 0.0124 19.3477
O 1.3035 5.4353 1.9988
O 1.3789 11.0506 9.6013
O 1.4084 5.6164 11.0135
O 1.4349 5.4434 4.6581
O 1.4530 0.4521 10.6529
O 1.5321 11.0565 3.2394
O 1.5384 5.8352 18.0549
O 1.6622 12.2292 20.4713
O 1.8699 6.7324 7.1224
O 1.9710 11.9548 14.6077
O 1.9777 14.7747 8.2526
O 1.9999 14.6874 14.4685
O 2.0142 4.1230 15.7002
O 2.0256 1.7429 5.5500
O 2.0358 9.4652 0.8101
O 2.0647 7.0446 13.2770
O 2.0900 1.4600 21.6184
O 2.0967 9.1502 7.2090
O 2.1482 4.0840 22.0165
O 2.1681 6.8940 21.9848
O 2.1775 1.6131 14.6213
O 2.2042 14.4315 5.6021
O 2.2124 3.6924 13.0544
O 2.2151 6.9851 15.7178
O 2.2542 9.1097 20.4072
O 2.2697 12.2965 7.1144
O 2.3154 1.7610 8.2480
O 2.4040 4.0790 6.9151
O 2.4158 12.3103 0.8063
O 2.4727 14.5834 21.6794
O 2.5036 9.0734 14.6015
O 3.5276 9.2767 3.1798
O 3.6006 12.6367 12.0335
O 3.6426 12.1919 18.2430
O 3.6669 1.7209 3.2728
O 3.6818 7.1335 4.7482
O 3.6905 4.0430 18.0422
O 3.6975 14.6319 10.4067
O 3.7362 6.8390 2.1290
O 3.7591 1.6890 19.3705
O 3.8248 3.9902 1.9260
O 3.8637 14.3131 16.6918
O 3.8638 7.0706 10.6676
O 3.8853 4.0814 10.7467
O 3.9151 14.7044 3.3794
O 3.9502 9.2016 18.1836
O 3.9565 9.1438 9.4635
O 3.9650 14.7024 19.3376
O 4.0000 1.4598 10.5046
O 4.0266 4.1677 4.5333
O 4.0710 12.0157 3.1753
O 4.1195 1.6868 16.7029
O 4.1599 6.7723 18.1441
O 4.1661 9.1869 11.9106
O 4.3849 12.1760 9.4463
O 4.5559 5.4750 22.0214
O 4.5468 5.8119 6.9674
O 4.5607 10.6463 7.0741
O 4.5931 5.3788 15.6809
O 4.5973 10.9200 14.3442
O 4.6101 0.3917 21.7314
O 4.6794 0.0458 14.3408
O 4.6985 0.0367 8.0418
O 4.7529 10.5624 0.9281
O 4.7575 5.7591 13.0067
O 4.7658 11.1151 20.5787
O 4.9843 0.2288 5.6167
O 5.5918 8.2047 16.7606
O 5.7888 13.6898 1.8705
O 5.8261 2.6615 12.0990
O 5.8748 7.9560 3.2385
O 5.9048 8.0590 19.1820
O 5.9672 8.3270 10.6225
O 5.9744 3.1379 9.5054
O 5.9938 13.2606 4.5307
O 6.0206 2.7296 18.1830
O 6.0332 3.0495 3.1904
O 6.0429 13.3857 10.9371
O 6.0625 13.6314 18.1278
O 6.2497 4.2975 20.5227
O 6.4089 1.2810 0.7362
O 6.4621 9.6208 5.5852
O 6.4794 14.6586 6.9709
O 6.5007 4.0923 14.3402
O 6.6014 12.0836 15.6856
O 6.6009 1.2248 20.5472
O 6.6052 1.2667 7.0431
O 6.6400 6.8224 8.2149
O 6.6430 9.4185 21.6101
O 6.6649 6.7734 14.4479
O 6.7404 14.9859 21.7663
O 6.7465 12.0261 21.9405
O 6.7878 6.4380 5.5684
O 6.8167 11.8373 13.0761
O 6.8274 9.6354 8.2646
O 6.8274 14.7237 13.2690
O 6.8567 15.0103 15.8572
O 6.8759 6.7255 21.5399
O 6.8808 4.3122 7.1184
O 6.8932 11.9620 6.9077
O 6.9859 9.6164 14.4871
O 7.0253 4.7146 0.8587
O 7.0528 1.3533 14.3439
O 8.0928 1.1442 3.4257
O 8.1277 6.6925 10.5830
O 8.1885 4.4235 11.9993
O 8.1997 11.8826 18.1398
O 8.2902 4.4296 18.1806
O 8.3143 1.0880 9.2947
O 8.3208 9.7990 19.3316
O 8.3616 14.8689 4.5239
O 8.3739 9.7711 16.8782
O 8.3750 11.6117 1.9271
O 8.4117 9.5270 3.4847
O 8.4388 6.6053 16.6999
O 8.4382 14.9528 2.0782
O 8.4586 12.0136 10.8893
O 8.4666 14.7844 10.9403
O 8.4750 9.3906 10.5292
O 8.4728 1.2055 18.3378
O 8.5295 1.5424 11.9660
O 8.5792 12.0375 4.5590
O 8.5853 6.9143 19.3420
O 8.5916 6.7852 3.3097
O 8.6424 4.0521 3.4747
O 8.6708 14.6119 18.2443
O 8.9344 4.3318 9.3978
O 9.0513 13.7357 6.8980
O 9.0515 3.1371 14.3985
```

Calculated values
The magnetic moment is 0.000 Bohr magnetons per cell. As for the space group: No. 1. The electronic total energy comes out at -1656.25 eV for the cell shown. The corrected total energy (MP2020 scheme) comes out at -7.13 eV/atom.

Entry 2:
Na9Ta7Zn5Si9S9O72: optimized geometry, GGA-PBE.

Cell and atoms, written as extended XYZ:
```
111
Lattice="8.9053 0.0000 0.0000 4.4425 7.7220 0.0000 0.2168 -0.0599 22.6810" Properties=species:S:1:pos:R:3 pbc="T T T"
Na 0.0000 0.0000 0.0000
Na 3.1046 5.0088 17.1428
Na 5.6614 4.7731 3.9384
Na 7.3371 7.4324 9.5332
Na 7.5095 7.3833 20.7186
Na 8.8806 5.1876 7.7103
Na 7.3721 2.3786 13.2238
Na 7.3284 2.4172 1.9350
Na 11.7657 5.0266 5.6265
Ta 2.9993 4.8245 13.9227
Ta 3.1623 4.9009 20.5060
Ta 3.0054 4.7693 9.2154
Ta 7.2579 7.3515 1.7025
Ta 7.6069 7.3206 12.9546
Ta 7.3667 2.3361 5.3943
Ta 7.4555 2.2108 16.7182
Zn 2.9283 4.9375 2.5555
Zn 7.3701 7.2312 17.5865
Zn 7.2959 7.2113 6.2145
Zn 7.2661 2.5561 10.2657
Zn 7.5366 2.3186 21.3512
Si 4.7031 7.4608 4.0577
Si 4.2546 2.5206 11.6026
Si 5.5181 4.7583 0.2945
Si 6.1652 5.1858 15.3924
Si 6.1037 4.6011 7.8112
Si 10.0020 7.3689 15.4520
Si 8.7940 5.1816 4.0888
Si 9.3336 4.7703 11.5219
Si 8.9116 0.1234 19.2287
S 4.2848 7.0487 11.5649
S 1.6581 2.6337 0.2567
S 1.7255 1.9327 15.3581
S 4.2168 1.8834 4.0614
S 4.9176 2.2666 19.1429
S 6.1624 0.0750 7.8472
S 8.8545 4.5007 19.1583
S 10.4336 7.1059 0.2208
S 9.9826 2.2737 7.8084
O 2.2414 3.3434 15.1539
O 3.8197 6.1498 3.8622
O 2.3682 3.2606 21.6787
O 4.0063 6.1600 10.3574
O 1.9358 1.1184 14.1470
O 1.2309 0.0034 2.6366
O 2.0638 1.2496 7.5633
O 2.3237 1.4326 16.5723
O 6.0110 7.5986 19.0513
O 5.6787 7.2335 5.2663
O 4.6424 5.0198 21.6717
O 5.7677 7.1194 11.6662
O 3.6141 3.3530 10.2647
O 4.5806 4.8730 15.0452
O 2.3823 1.2751 0.2896
O 4.4288 4.6893 7.9257
O 3.8654 3.5134 12.8418
O 4.0592 3.5629 19.2523
O 3.7382 3.2545 3.9218
O 4.6793 4.6683 1.6394
O 6.1677 6.0343 16.7157
O 3.3728 1.1370 11.7478
O 6.3700 6.2657 0.3584
O 3.7204 1.2459 5.2562
O 6.7346 6.0851 7.7455
O 4.0225 1.1549 18.9556
O 6.8268 5.9439 14.0587
O 3.9493 1.0755 2.8025
O 5.7765 2.5420 17.9136
O 6.3582 3.6324 6.4257
O 5.7203 2.1492 20.3425
O 5.8135 2.2797 11.5507
O 7.9382 5.9914 2.8088
O 6.5206 3.5491 0.0318
O 6.8748 3.8750 8.9887
O 9.0969 7.6467 14.0612
O 5.7635 1.9731 4.1063
O 6.9277 3.7045 15.5780
O 9.1493 7.6404 7.7195
O 8.4068 6.1670 11.6860
O 8.9385 7.2290 0.3050
O 8.3865 5.8721 19.0484
O 9.1416 7.1848 16.7488
O 8.6096 5.9622 5.4661
O 7.8524 3.7562 4.1684
O 6.5623 1.0079 15.5735
O 8.3129 3.8979 20.3675
O 6.5391 0.7975 9.0339
O 6.5914 0.7122 0.0636
O 6.7355 0.7318 6.5896
O 8.5656 3.6811 17.9344
O 8.5026 3.4278 11.5574
O 10.9026 6.1829 21.6529
O 10.2292 5.0724 10.1551
O 11.0116 6.4691 1.3856
O 11.0413 6.1303 15.1464
O 8.1553 0.8995 17.9379
O 10.3664 4.8235 12.7914
O 11.2233 6.3879 7.8513
O 10.2875 4.8118 3.7529
O 9.0561 2.5139 6.5941
O 8.2625 1.1142 4.1896
O 10.3960 4.5237 19.2708
O 8.1208 0.6126 11.4335
O 9.1215 2.1071 15.4920
O 9.1191 2.3382 0.1651
O 8.5153 0.8116 20.6223
O 9.2057 2.0669 9.0080
O 10.7320 3.6447 7.8691
O 12.5396 6.2898 19.3334
O 12.6674 6.3741 12.7957
O 10.8442 3.4074 1.4365
```

Calculated values
The magnetic moment is 0.000 Bohr magnetons per cell. As for the space group: No. 1. The electronic total energy comes out at -773.63 eV for the cell shown. The corrected total energy (MP2020 scheme) comes out at -7.42 eV/atom.